Entry 1:
ErAgS2: relaxed, PBE-GGA.

Summary:
Formation enthalpy at 0 K in eV/f.u.: -6.2
Space group: No. 141

a = 7.1590 Å, b = 7.1590 Å, c = 7.1590 Å
α = 135.81°, β = 135.81°, γ = 64.27°
Sites, in units of the cell vectors:
Er: 0.3750 0.6250 0.7500
Er: 0.6250 0.3750 0.2500
Ag: 0.1250 0.8750 0.2500
Ag: 0.8750 0.1250 0.7500
S: 0.1503 0.4003 0.7500
S: 0.4003 0.1503 0.2500
S: 0.5997 0.8497 0.7500
S: 0.8497 0.5997 0.2500

Entry 2:
ZnSiRh2: relaxed, PBE-GGA.

Summary:
Formation enthalpy at 0 K in eV/f.u.: -2.5
Space group: No. 225

a = 4.2272 Å, b = 4.2272 Å, c = 4.2272 Å
α = 60.00°, β = 60.00°, γ = 60.00°
Sites, in units of the cell vectors:
Zn: 0.0000 0.0000 0.0000
Si: 0.5000 0.5000 0.5000
Rh: 0.2500 0.2500 0.2500
Rh: 0.7500 0.7500 0.7500

Per-record V, Å³/f.u.: 88; 53
Per-record mass density, g/cm³: 6.41; 9.30